[1]
V6Ga7 | PBE | relaxed

a b c (Å): 9.1717 12.8994 7.8252
angles (deg): 90.00 124.35 90.00
With the nearest neighbours (Å) after each atom.
Space group Cm (No. 8)
Inequivalent atoms, fractional coordinates:
V1 0.0000 0.0000 0.0000 x2  6 Ga 2.57-2.65, 6 V 2.65-2.74
V2 0.0057 0.0000 0.6654 x2  6 Ga 2.61-2.83, 5 V 2.63-2.84
V3 0.1487 0.5000 0.3172 x2  4 V 2.57-2.84, 8 Ga 2.63-2.78
V4 0.1573 0.5000 0.8642 x2  9 V 2.56-2.73, 3 Ga 2.65-2.73
V5 0.2536 0.3937 0.6500 x4  8 V 2.60-2.74, 4 Ga 2.64-2.73
V6 0.3151 0.0000 0.6690 x2  5 V 2.60-2.82, 7 Ga 2.64-2.90
V7 0.3303 0.3301 0.0074 x4  4 V 2.56-2.82, 7 Ga 2.67-2.84
V8 0.4421 0.0000 0.4413 x2  7 V 2.57-2.73, 5 Ga 2.67-2.70
V9 0.4833 0.1703 0.6487 x4  7 Ga 2.60-2.74, 5 V 2.61-2.82
Ga1 0.0289 0.3654 0.0029 x4  5 V 2.60-2.81, 5 Ga 2.66-2.81
Ga2 0.0876 0.1745 0.9225 x4  6 V 2.57-2.82, 4 Ga 2.67-2.79
Ga3 0.1721 0.1298 0.3146 x4  5 V 2.61-2.85, 4 Ga 2.68-2.87
Ga4 0.2021 0.1874 0.6752 x4  5 V 2.64-2.84, 4 Ga 2.68-2.81
Ga5 0.3028 0.0000 0.0310 x2  5 V 2.61-2.90, 4 Ga 2.79-2.81
Ga6 0.3348 0.3303 0.3928 x4  4 V 2.63-2.83, 6 Ga 2.66-2.94
Ga7 0.4260 0.5000 0.2753 x2  6 V 2.60-2.81, 4 Ga 2.68
Ga8 0.4752 0.1814 0.2942 x4  5 Ga 2.66-2.95, 5 V 2.67-2.78

Computed properties:
Energy above the most stable polymorph in this dataset: 0 meV per atom
Calculated volume: 14.70 Å³ per atom


[2]
Cs2SO4 | PBE | relaxed

a b c (Å): 12.9797 6.2290 8.3139
angles (deg): 90.00 90.00 90.00
With the nearest neighbours (Å) after each atom.
Space group Pnma (No. 62)
Inequivalent atoms, fractional coordinates:
Cs1 0.0540 0.2500 0.1739 x4  6 O 3.15-3.31
Cs2 0.1676 0.7500 0.4915 x4  8 O 3.03-3.33
S1 0.0859 0.2500 0.7349 x4  4 O 1.50-1.51
O1 0.0238 0.7500 0.2048 x4  1 S 1.51
O2 0.0856 0.2500 0.5551 x4  1 S 1.50
O3 0.1396 0.0538 0.7971 x8  1 S 1.50

Computed properties:
Energy above the most stable polymorph in this dataset: 37 meV per atom
Calculated volume: 24.01 Å³ per atom


[3]
Ca5Pb3 | PBE | relaxed

a b c (Å): 9.4669 9.4669 6.9195
angles (deg): 90.00 90.00 120.00
With the nearest neighbours (Å) after each atom.
Space group P6_3/mcm (No. 193)
Inequivalent atoms, fractional coordinates:
Ca1 0.0000 0.2644 0.2500 x6  3 Pb 3.27
Ca2 0.3333 0.6667 0.0000 x4  6 Pb 3.40, 2 Ca 3.46
Pb1 0.0000 0.3905 0.7500 x6  7 Ca 3.27-3.40

Computed properties:
Energy above the most stable polymorph in this dataset: 0 meV per atom
Calculated volume: 33.57 Å³ per atom


[4]
Ba2YCu3SO6 | PBE | relaxed

a b c (Å): 3.7975 4.1716 12.1179
angles (deg): 90.00 90.00 90.00
With the nearest neighbours (Å) after each atom.
Space group Pmmm (No. 47)
Inequivalent atoms, fractional coordinates:
Ba1 0.0000 0.0000 0.2015 x2  8 O 2.87-3.03, 2 S 3.09
Y1 0.0000 0.0000 0.5000 x1  8 O 2.39-2.52
Cu1 0.5000 0.5000 0.0000 x1  2 O 1.94, 2 S 2.09
Cu2 0.5000 0.5000 0.3582 x2  4 O 1.92-2.10
S1 0.5000 0.0000 0.0000 x1  2 Cu 2.09
O1 0.0000 0.5000 0.3830 x2  2 Cu 1.92
O2 0.5000 0.0000 0.3796 x2  2 Cu 2.10
O3 0.5000 0.5000 0.1598 x2  1 Cu 1.94

Computed properties:
Energy: -5.9830 eV/atom
Calculated volume: 14.77 Å³ per atom


[5]
NaMnSb | PBE | relaxed

a b c (Å): 4.4276 4.4276 7.4928
angles (deg): 90.00 90.00 90.00
With the nearest neighbours (Å) after each atom.
Space group P4/nmm (No. 129, origin choice 2)
Inequivalent atoms, fractional coordinates:
Na1 0.2500 0.2500 0.1514 x2  5 Sb 3.25-3.28, 4 Mn 3.42
Mn1 0.2500 0.7500 0.5000 x2  4 Sb 2.75
Sb1 0.2500 0.2500 0.7174 x2  4 Mn 2.75

Computed properties:
Energy: -5.0024 eV/atom
Calculated volume: 24.48 Å³ per atom


[6]
Cs2Ta6PbCl18 | PBE | relaxed

a b c (Å): 9.6864 9.6864 26.7128
angles (deg): 90.00 90.00 120.00
With the nearest neighbours (Å) after each atom.
Space group R-3 (No. 148, hexagonal axes)
Inequivalent atoms, fractional coordinates:
Cs1 0.0000 0.0000 0.2234 x6  12 Cl 3.59-3.78
Ta1 0.0351 0.1882 0.0442 x18  5 Cl 2.47-2.65
Pb1 0.0000 0.0000 0.5000 x3  6 Cl 2.97
Cl1 0.0191 0.2588 0.4355 x18  1 Ta 2.65
Cl2 0.0413 0.2244 0.8943 x18  2 Ta 2.48-2.49
Cl3 0.0670 0.2611 0.6662 x18  2 Ta 2.47

Computed properties:
Energy: -5.4583 eV/atom
Calculated volume: 26.80 Å³ per atom


Question: Which of these has the highest calculated volume?
Answer: Ca5Pb3


Question: Which value of calculated volume does entry 6 give?
Answer: 26.80 Å³ per atom